1.
Here is HfMn2 after structural relaxation from the Materials Project. Energies are from PBE.

Output
- Symmetry: Cmcm
- M_tot: 1.2 Bohr magnetons per cell
- ΔH_f (0 K): -5.73 kcal/mol of atoms

Lattice parameters (Å, degrees): 4.9441 4.9441 16.1388 90.00 90.00 119.91
Fractional positions:
Hf 0.0001 0.9999 0.0936
Hf 0.0001 0.9999 0.4064
Hf 0.9999 0.0001 0.5936
Hf 0.9999 0.0001 0.9064
Hf 0.3334 0.6666 0.6558
Hf 0.3334 0.6666 0.8442
Hf 0.6666 0.3334 0.1558
Hf 0.6666 0.3334 0.3442
Mn 0.0000 0.5000 0.0000
Mn 0.0000 0.5000 0.5000
Mn 0.1635 0.3268 0.2500
Mn 0.1636 0.8364 0.2500
Mn 0.3268 0.1635 0.7500
Mn 0.3333 0.6667 0.1246
Mn 0.3333 0.6667 0.3754
Mn 0.5000 0.0000 0.0000
Mn 0.5000 0.0000 0.5000
Mn 0.5000 0.5000 0.0000
Mn 0.5000 0.5000 0.5000
Mn 0.6667 0.3333 0.6246
Mn 0.6667 0.3333 0.8754
Mn 0.6732 0.8365 0.2500
Mn 0.8364 0.1636 0.7500
Mn 0.8365 0.6732 0.7500

=====

2.
Here is LiCuF4 after structural relaxation from the Materials Project. Energies are from PBE.

Output
- Symmetry: P-1
- M_tot: 8.0 Bohr magnetons per cell
- ΔH_f (0 K): -48.90 kcal/mol of atoms

Lattice parameters (Å, degrees): 6.8021 7.9523 9.8920 98.98 105.81 101.33
Fractional positions:
Li 0.0005 0.1874 0.3940
Li 0.9995 0.8126 0.6060
Li 0.3452 0.9241 0.1568
Li 0.4952 0.5257 0.7616
Li 0.5048 0.4743 0.2384
Li 0.6548 0.0759 0.8432
Cu 0.0344 0.5981 0.2575
Cu 0.2427 0.1978 0.9163
Cu 0.4485 0.8039 0.4975
Cu 0.5515 0.1961 0.5025
Cu 0.7573 0.8022 0.0837
Cu 0.9656 0.4019 0.7425
F 0.0286 0.5938 0.6797
F 0.0710 0.7669 0.1521
F 0.1512 0.0045 0.7608
F 0.1580 0.7999 0.4709
F 0.2231 0.0655 0.0512
F 0.2343 0.3776 0.7808
F 0.2852 0.2165 0.5071
F 0.3026 0.4015 0.0596
F 0.3193 0.6093 0.3154
F 0.4443 0.6636 0.6293
F 0.4510 0.9749 0.3633
F 0.4749 0.7818 0.0660
F 0.5251 0.2182 0.9340
F 0.5490 0.0251 0.6367
F 0.5557 0.3364 0.3707
F 0.6807 0.3907 0.6846
F 0.6974 0.5985 0.9404
F 0.7148 0.7835 0.4929
F 0.7657 0.6224 0.2192
F 0.7769 0.9345 0.9488
F 0.8420 0.2001 0.5291
F 0.8488 0.9955 0.2392
F 0.9290 0.2331 0.8479
F 0.9714 0.4062 0.3203